The following is a DFT calculation (PBE) of Hg2SN2Cl4O3 after structural relaxation.

```
Hg2SN2Cl4O3
1.0
-2.0557 6.3028 1.0091
1.2441 -1.2357 10.2527
10.4239 3.2218 1.1121
Hg S N Cl O
4 2 4 8 6
direct
0.2500 0.6013 0.5106
0.7500 0.3987 0.4894
0.2500 0.1427 0.5231
0.7500 0.8573 0.4769
0.2500 0.7010 0.0783
0.7500 0.2990 0.9217
0.2500 0.6412 0.8165
0.7500 0.3588 0.1835
0.2500 0.1490 0.0706
0.7500 0.8510 0.9294
0.2500 0.4132 0.6567
0.7500 0.5868 0.3433
0.2500 0.3017 0.3465
0.7500 0.6983 0.6535
0.2500 0.7912 0.3664
0.7500 0.2088 0.6336
0.2500 0.9791 0.6943
0.7500 0.0209 0.3057
0.0648 0.6310 0.0927
0.5648 0.3690 0.9073
0.9352 0.3690 0.9073
0.4352 0.6310 0.0927
0.2500 0.8409 0.0515
0.7500 0.1591 0.9485
```

Computed properties:
- ΔE_f (eV per atom) = 0.070
- E_tot (eV per cell) = -81.512
- symmetry = P2_1/m (11)